No. 1
Below is a geometry-optimized Y5Mg structure, with properties calculated at the PBE level.

Its energy relative to the elements is -0.003 eV/atom. For the calculated total energy, the calculation gives -5.659 eV/atom.

The structure belongs to space group Cm (No. 8); the cell edges are 12.815, 3.589 and 8.358 Å and the angles 90.00°, 103.82° and 90.00°. The inequivalent atoms are Y at (0.000, 0.000, 0.000), Y at (0.044, 0.000, 0.612), Y at (0.154, 0.500, 0.338), Y at (0.323, 0.000, 0.676), Y at (0.376, 0.000, 0.269) and Mg at (0.216, 0.500, 0.948).

***

No. 2
Below is a geometry-optimized Y2Mg structure, with properties calculated at the PBE level.

As for the total magnetization: 0.00 μB/f.u. Its energy relative to the elements is 0.009 eV/atom. For the calculated total energy, the calculation gives -4.835 eV/atom.

The structure belongs to space group Cmcm (No. 63); the cell edges are 3.717, 17.431 and 5.575 Å and the angles 90.00°, 90.00° and 90.00°. The inequivalent atoms are Y at (0.000, 0.060, 0.250), Y at (0.000, 0.385, 0.250) and Mg at (0.000, 0.277, 0.750).

***

No. 3
Below is a geometry-optimized YMgZn structure, with properties calculated at the PBE level.

Its energy relative to the elements is -0.295 eV/atom. For the calculated total energy, the calculation gives -3.403 eV/atom.

The structure belongs to space group P-62m (No. 189); the cell edges are 7.5136, 7.5136 and 4.2220 Å and the angles 90.00°, 90.00° and 120.00°. The inequivalent atoms are Y at (0.0000, 0.4124, 0.0000), Mg at (0.0000, 0.7543, 0.5000), Zn at (0.0000, 0.0000, 0.0000) and Zn at (0.3333, 0.6667, 0.5000).